# 1
Compound: Cr3BO6
Source: the Materials Project database
Functional: PBE+U
Structure: relaxed

Cell lengths 4.480, 8.577, 10.101 Å; angles 90.00, 90.00, 90.00 degrees
Positions (direct):
Cr 0.474 0.750 0.907
Cr 0.974 0.250 0.593
Cr 0.526 0.250 0.093
Cr 0.026 0.750 0.407
Cr 0.503 0.431 0.370
Cr 0.003 0.569 0.130
Cr 0.497 0.931 0.630
Cr 0.997 0.069 0.870
Cr 0.497 0.569 0.630
Cr 0.997 0.431 0.870
Cr 0.503 0.069 0.370
Cr 0.003 0.931 0.130
B 0.081 0.250 0.277
B 0.919 0.750 0.723
B 0.419 0.250 0.777
B 0.581 0.750 0.223
O 0.783 0.750 0.585
O 0.283 0.250 0.915
O 0.217 0.250 0.415
O 0.717 0.750 0.085
O 0.765 0.421 0.031
O 0.265 0.579 0.469
O 0.235 0.921 0.969
O 0.735 0.079 0.531
O 0.256 0.750 0.225
O 0.244 0.750 0.725
O 0.756 0.250 0.275
O 0.744 0.250 0.775
O 0.728 0.889 0.290
O 0.228 0.111 0.210
O 0.272 0.389 0.710
O 0.772 0.611 0.790
O 0.272 0.111 0.710
O 0.772 0.889 0.790
O 0.728 0.611 0.290
O 0.228 0.389 0.210
O 0.265 0.921 0.469
O 0.765 0.079 0.031
O 0.735 0.421 0.531
O 0.235 0.579 0.969

- calculated volume (Å³/cell) = 388.10
- E (eV/atom) = -7.992
- space group = No. 62



# 2
Compound: BaDyMn4O12
Source: the Materials Project database
Functional: PBE+U
Structure: relaxed

Cell lengths 5.397, 5.397, 7.593 Å; angles 90.00, 90.00, 90.00 degrees
Positions (direct):
Ba 0.500 0.500 0.000
Dy 0.000 0.000 0.500
Mn 0.000 0.500 0.750
Mn 0.000 0.500 0.250
Mn 0.500 0.000 0.750
Mn 0.500 0.000 0.250
O 0.238 0.238 0.727
O 0.238 0.238 0.273
O 0.762 0.762 0.727
O 0.762 0.762 0.273
O 0.762 0.238 0.727
O 0.762 0.238 0.273
O 0.238 0.762 0.727
O 0.238 0.762 0.273
O 0.000 0.500 0.500
O 0.000 0.500 0.000
O 0.500 0.000 0.500
O 0.500 0.000 0.000

- calculated volume (Å³/cell) = 221.16
- E (eV/atom) = -6.750
- space group = No. 123



# 3
Compound: U2V2NiO16
Source: the Materials Project database
Functional: PBE+U
Structure: relaxed

Cell lengths 10.619, 15.587, 8.353 Å; angles 90.00, 90.00, 90.00 degrees
Positions (direct):
U 0.320 0.001 0.486
U 0.820 0.499 0.014
U 0.680 0.501 0.514
U 0.180 0.999 0.986
U 0.680 0.999 0.514
U 0.180 0.501 0.986
U 0.320 0.499 0.486
U 0.820 0.001 0.014
V 0.460 0.948 0.143
V 0.960 0.552 0.357
V 0.540 0.448 0.857
V 0.040 0.052 0.643
V 0.540 0.052 0.857
V 0.040 0.448 0.643
V 0.460 0.552 0.143
V 0.960 0.948 0.357
Ni 0.312 0.750 0.544
Ni 0.812 0.750 0.956
Ni 0.688 0.250 0.456
Ni 0.188 0.250 0.044
O 0.394 0.996 0.945
O 0.894 0.504 0.555
O 0.606 0.496 0.055
O 0.106 0.004 0.445
O 0.606 0.004 0.055
O 0.106 0.496 0.445
O 0.394 0.504 0.945
O 0.894 0.996 0.555
O 0.480 0.846 0.120
O 0.980 0.654 0.380
O 0.520 0.346 0.880
O 0.020 0.154 0.620
O 0.520 0.154 0.880
O 0.020 0.346 0.620
O 0.480 0.654 0.120
O 0.980 0.846 0.380
O 0.510 0.977 0.349
O 0.010 0.523 0.151
O 0.490 0.477 0.651
O 0.990 0.023 0.849
O 0.490 0.023 0.651
O 0.990 0.477 0.849
O 0.510 0.523 0.349
O 0.010 0.977 0.151
O 0.294 0.964 0.214
O 0.794 0.536 0.286
O 0.706 0.464 0.786
O 0.206 0.036 0.714
O 0.706 0.036 0.786
O 0.206 0.464 0.714
O 0.294 0.536 0.214
O 0.794 0.964 0.286
O 0.323 0.113 0.429
O 0.823 0.387 0.071
O 0.677 0.613 0.571
O 0.177 0.887 0.929
O 0.677 0.887 0.571
O 0.177 0.613 0.929
O 0.323 0.387 0.429
O 0.823 0.113 0.071
O 0.313 0.885 0.542
O 0.813 0.615 0.958
O 0.687 0.385 0.458
O 0.187 0.115 0.042
O 0.687 0.115 0.458
O 0.187 0.385 0.042
O 0.313 0.615 0.542
O 0.813 0.885 0.958
O 0.471 0.750 0.483
O 0.971 0.750 0.017
O 0.529 0.250 0.517
O 0.029 0.250 0.983
O 0.286 0.750 0.335
O 0.786 0.750 0.165
O 0.714 0.250 0.665
O 0.214 0.250 0.835
O 0.155 0.750 0.620
O 0.655 0.750 0.880
O 0.845 0.250 0.380
O 0.345 0.250 0.120
O 0.327 0.750 0.756
O 0.827 0.750 0.744
O 0.673 0.250 0.244
O 0.173 0.250 0.256

- calculated volume (Å³/cell) = 1382.59
- E (eV/atom) = -7.120
- space group = No. 62